1.
Ti2CoSi: relaxed, PBE.

## Properties
ΔE_f in eV/atom: -0.346
Crystal system: cubic
Total moment in μB per atom: 0.7502

```
Ti2CoSi
1.0
0.000 3.015 3.015
3.015 0.000 3.015
3.015 3.015 0.000
Ti Co Si
2 1 1
Direct
0.000 0.000 0.000
0.250 0.250 0.250
0.500 0.500 0.500
0.750 0.750 0.750
```

=====

2.
TiCoSi: relaxed, PBE.

## Properties
ΔE_f in eV/atom: -0.789
Crystal system: orthorhombic

```
TiCoSi
1.0
3.709 0.000 0.000
0.000 6.127 0.000
0.000 0.000 6.895
Ti Co Si
4 4 4
Direct
0.250 0.016 0.809
0.750 0.484 0.309
0.250 0.516 0.691
0.750 0.984 0.191
0.250 0.646 0.065
0.750 0.354 0.935
0.250 0.146 0.435
0.750 0.854 0.565
0.750 0.727 0.886
0.250 0.773 0.386
0.750 0.227 0.614
0.250 0.273 0.114
```

=====

3.
TiCoSi: relaxed, PBE.

## Properties
ΔE_f in eV/atom: -0.763
Crystal system: hexagonal
Total moment in μB per atom: 0.0957

```
TiCoSi
1.0
3.013 -5.218 0.000
3.013 5.218 0.000
0.000 0.000 3.711
Ti Co Si
3 3 3
Direct
0.564 0.564 0.500
0.436 0.000 0.500
0.000 0.436 0.500
0.757 0.000 0.000
0.000 0.757 0.000
0.243 0.243 0.000
0.000 0.000 0.500
0.667 0.333 0.000
0.333 0.667 0.000
```